This record from Materials Project describes a relaxed structure of YbPrMg2. The functional is meta-GGA r2SCAN.

## Properties
magnetization	0.000	μB per formula unit
electronic total energy	-18.663	eV per atom

CIF file:
```
data_YbPrMg2
_chemical_formula_sum 'Yb4 Pr4 Mg8'
_space_group_name_H-M_alt 'F m -3 m'
_space_group_IT_number 225
_space_group_name_Hall '-F 4 2 3'
_cell_length_a 7.649
_cell_length_b 7.649
_cell_length_c 7.649
_cell_angle_alpha 90.00
_cell_angle_beta 90.00
_cell_angle_gamma 90.00
loop_
_atom_site_label
_atom_site_type_symbol
_atom_site_fract_x
_atom_site_fract_y
_atom_site_fract_z
Yb1 Yb 0.000 0.000 0.000
Pr1 Pr 0.000 0.000 0.500
Mg1 Mg 0.250 0.250 0.250
```

This record from Materials Project describes a relaxed structure of Mg3Pt. The functional is meta-GGA r2SCAN.

## Properties
magnetization	0.000	μB per formula unit
electronic total energy	-16.617	eV per atom

CIF file:
```
data_Mg3Pt
_chemical_formula_sum 'Mg18 Pt6'
_space_group_name_H-M_alt 'P 63 c m'
_space_group_IT_number 185
_space_group_name_Hall 'P 6c -2'
_cell_length_a 7.8962
_cell_length_b 7.8962
_cell_length_c 8.3318
_cell_angle_alpha 90.00
_cell_angle_beta 90.00
_cell_angle_gamma 120.00
loop_
_atom_site_label
_atom_site_type_symbol
_atom_site_fract_x
_atom_site_fract_y
_atom_site_fract_z
Mg1 Mg 0.0000 0.0000 0.0000
Mg2 Mg 0.0000 0.2822 0.2608
Mg3 Mg 0.0000 0.3751 0.6053
Mg4 Mg 0.3333 0.6667 0.3904
Pt1 Pt 0.0000 0.3277 0.9329
```

This record from Materials Project describes a relaxed structure of Mg3Pt. The functional is meta-GGA r2SCAN.

## Properties
magnetization	0.000	μB per formula unit
electronic total energy	-16.598	eV per atom

CIF file:
```
data_Mg3Pt
_chemical_formula_sum 'Mg6 Pt2'
_space_group_name_H-M_alt 'P 63/m m c'
_space_group_IT_number 194
_space_group_name_Hall '-P 6c 2c'
_cell_length_a 4.5868
_cell_length_b 4.5868
_cell_length_c 8.2936
_cell_angle_alpha 90.00
_cell_angle_beta 90.00
_cell_angle_gamma 120.00
loop_
_atom_site_label
_atom_site_type_symbol
_atom_site_fract_x
_atom_site_fract_y
_atom_site_fract_z
Mg1 Mg 0.0000 0.0000 0.2500
Mg2 Mg 0.3333 0.6667 0.0764
Pt1 Pt 0.3333 0.6667 0.7500
```